Here is a geometry-optimized MgTe4Mo4Se2S2 structure from the Materials Project. Energies are from PBE-GGA.

a b c (Å): 3.3994 3.3994 45.1368
angles (deg): 90.04 89.99 120.01
With the nearest neighbours (Å) after each atom.
Fractional coordinates of all 13 atoms:
Se 0.6668 0.3338 0.1304  3 Mo 2.56
Se 0.6667 0.3331 0.0574  3 Mo 2.56
Te 0.3334 0.6667 0.2404  3 Mo 2.71
S 0.6667 0.3332 0.4292  3 Mo 2.46
Mo 0.6664 0.3330 0.6641  6 Te 2.71-2.72
Te 0.3335 0.6672 0.3235  3 Mo 2.71-2.72
Mo 0.6668 0.3336 0.2819  6 Te 2.71-2.72
Mg 0.9992 0.9982 0.5540  3 S 3.27-3.28, 6 Mg 3.40, 3 Te 3.65
S 0.6672 0.3346 0.4958  3 Mo 2.48
Mo 0.3336 0.6672 0.4623  6 S 2.46-2.48
Mo 0.3334 0.6668 0.0939  6 Se 2.56
Te 0.3331 0.6661 0.6223  3 Mo 2.72
Te 0.3331 0.6665 0.7056  3 Mo 2.71

Results
The calculation puts the calculated volume at 34.74 Å³/atom. As for the space-group type: Cm, No. 8. For the energy of formation, the calculation gives -0.4758 eV/atom. The value obtained for the energy above the most stable polymorph in this dataset is 0.23 kcal/mol of atoms. For the final energy, the calculation gives -78.0 eV for the cell shown.

Here is a geometry-optimized MgTe4Mo4Se2S2 structure from the Materials Project. Energies are from PBE-GGA.

a b c (Å): 3.3932 3.3926 46.5844
angles (deg): 89.98 90.00 120.00
With the nearest neighbours (Å) after each atom.
Fractional coordinates of all 13 atoms:
Te 0.3332 0.6665 0.6976  3 Mo 2.71
Te 0.3335 0.6670 0.6172  3 Mo 2.71
Se 0.6666 0.3333 0.0500  3 Mo 2.56
S 0.6666 0.3332 0.5020  3 Mo 2.47
Te 0.3336 0.6669 0.2488  3 Mo 2.72
Mo 0.3333 0.6666 0.4698  6 S 2.47
Se 0.6664 0.3330 0.1211  3 Mo 2.57
Mo 0.6669 0.3335 0.2893  6 Te 2.71-2.72
S 0.6668 0.3335 0.4375  3 Mo 2.47
Te 0.3334 0.6666 0.3296  3 Mo 2.71
Mo 0.3331 0.6664 0.0853  6 Se 2.56-2.57
Mo 0.6668 0.3335 0.6574  6 Te 2.71
Mg 0.9999 0.9999 0.1836  6 Mg 3.39, 3 Se 3.51, 3 Te 3.61

Results
The calculation puts the calculated volume at 35.73 Å³/atom. As for the space-group type: P3m1, No. 156. For the energy of formation, the calculation gives -0.4739 eV/atom. The value obtained for the energy above the most stable polymorph in this dataset is 0.27 kcal/mol of atoms. For the final energy, the calculation gives -78.0 eV for the cell shown.

Here is a geometry-optimized MgTe4Mo4Se2S2 structure from the Materials Project. Energies are from PBE-GGA.

a b c (Å): 3.4028 3.4034 43.4397
angles (deg): 90.00 90.00 119.99
With the nearest neighbours (Å) after each atom.
Fractional coordinates of all 13 atoms:
Te 0.6665 0.3330 0.5110  3 Mo 2.71
S 0.3334 0.6667 0.2503  3 Mo 2.49
Te 0.3334 0.6669 0.6166  3 Mo 2.71
Se 0.6666 0.3332 0.0516  3 Mo 2.56
Mo 0.6667 0.3333 0.2854  6 S 2.46-2.49
Se 0.6667 0.3334 0.1277  3 Mo 2.58
Mg 0.0002 0.0003 0.1929  3 S 3.17-3.18, 6 Mg 3.40, 3 Se 3.45
Te 0.6665 0.3329 0.4248  3 Mo 2.71
Te 0.3335 0.6670 0.7028  3 Mo 2.71
S 0.3333 0.6667 0.3195  3 Mo 2.46
Mo 0.3332 0.6664 0.4679  6 Te 2.71
Mo 0.3333 0.6667 0.0894  6 Se 2.56-2.58
Mo 0.6667 0.3335 0.6597  6 Te 2.71

Results
The calculation puts the calculated volume at 33.52 Å³/atom. As for the space-group type: P3m1, No. 156. For the energy of formation, the calculation gives -0.4779 eV/atom. The value obtained for the energy above the most stable polymorph in this dataset is 0.18 kcal/mol of atoms. For the final energy, the calculation gives -78.0 eV for the cell shown.

Here is a geometry-optimized MgTe4Mo4Se2S2 structure from the Materials Project. Energies are from PBE-GGA.

a b c (Å): 3.4018 3.4019 44.8576
angles (deg): 89.97 90.00 120.00
With the nearest neighbours (Å) after each atom.
Fractional coordinates of all 13 atoms:
Mg 0.0000 0.0000 0.3863  3 S 3.22, 6 Mg 3.40
Te 0.3333 0.6666 0.6994  3 Mo 2.71
S 0.6666 0.3331 0.5103  3 Mo 2.46
Se 0.6664 0.3328 0.1303  3 Mo 2.56
Mo 0.3334 0.6667 0.4772  6 S 2.46-2.48
Mo 0.6666 0.3332 0.2749  6 Te 2.71-2.72
Te 0.3334 0.6669 0.2332  3 Mo 2.71
S 0.6668 0.3337 0.4433  3 Mo 2.48
Te 0.3337 0.6673 0.6159  3 Mo 2.71
Se 0.6666 0.3332 0.0568  3 Mo 2.56
Mo 0.3332 0.6664 0.0936  6 Se 2.56
Mo 0.6668 0.3336 0.6576  6 Te 2.71
Te 0.3331 0.6663 0.3170  3 Mo 2.72

Results
The calculation puts the calculated volume at 34.58 Å³/atom. As for the space-group type: Cm, No. 8. For the energy of formation, the calculation gives -0.4775 eV/atom. The value obtained for the energy above the most stable polymorph in this dataset is 0.19 kcal/mol of atoms. For the final energy, the calculation gives -78.0 eV for the cell shown.